First-principles (r2SCAN) data for an optimized crystal structure of ScCoSn, as listed in the Materials Project database.

Calculated values
Space group   Pnma (62)
ΔE_f   -1.3 eV/f.u.

abc: 6.871 4.430 7.373
angles: 90.00 90.00 90.00
Sites, in units of the cell vectors:
Sc (0.016, 0.250, 0.227)
Sc (0.484, 0.750, 0.727)
Sc (0.516, 0.250, 0.273)
Sc (0.984, 0.750, 0.773)
Co (0.155, 0.750, 0.434)
Co (0.345, 0.250, 0.934)
Co (0.655, 0.750, 0.066)
Co (0.845, 0.250, 0.566)
Sn (0.227, 0.250, 0.598)
Sn (0.273, 0.750, 0.098)
Sn (0.727, 0.250, 0.902)
Sn (0.773, 0.750, 0.402)

---

First-principles (r2SCAN) data for an optimized crystal structure of YbThRh2, as listed in the Materials Project database.

Calculated values
Space group   Fm-3m (225)
ΔE_f   -3.6 eV/f.u.

abc: 4.906 4.906 4.906
angles: 60.00 60.00 60.00
Sites, in units of the cell vectors:
Yb (0.000, 0.000, 0.000)
Th (0.500, 0.500, 0.500)
Rh (0.250, 0.250, 0.250)
Rh (0.750, 0.750, 0.750)

---

Question: Among the records above, which one has the lowest ΔE_f?
Answer: YbThRh2